Here is crystalline Fe3OF5 at its relaxed geometry from the Materials Project database. Energies are from PBE+U.

Geometry as extended XYZ:
```
18
Lattice="4.811 0.000 0.000 0.083 5.766 0.000 0.063 0.495 8.107" Properties=species:S:1:pos:R:3 pbc="T T T"
Fe 0.000 0.000 0.000
Fe 0.086 2.237 5.371
Fe 2.371 5.170 5.609
Fe 2.447 2.883 0.000
Fe 2.586 1.091 2.498
Fe 4.871 4.025 2.736
O 1.566 5.063 7.246
O 3.391 1.199 0.861
F 1.068 2.178 7.209
F 1.092 5.719 2.004
F 1.089 3.967 4.593
F 1.497 2.747 2.044
F 1.537 0.999 4.568
F 3.420 5.263 3.539
F 3.460 3.514 6.063
F 3.868 2.294 3.514
F 3.865 0.542 6.103
F 3.889 4.083 0.897
```

Summary:
E (eV per atom): -5.703
Space group: P-1, No. 2
Energy relative to the lowest polymorph listed for this composition (meV/atom): 39
Volume (Å³ per cell): 224.9